# Cs2HfBr6

An optimized crystal structure of Cs2HfBr6 (GGA-PBE, the Materials Project database).

Properties
Calculated formation energy in eV/atom: -2.049
Space group: Fm-3m (225)
Calculated density in g/cm³: 4.43

abc: 7.880 7.880 7.880
angles: 60.00 60.00 60.00
Element x y z (fractional)
Cs: 0.250 0.250 0.250
Cs: 0.750 0.750 0.750
Hf: 0.000 0.000 0.000
Br: 0.764 0.236 0.764
Br: 0.236 0.236 0.764
Br: 0.764 0.764 0.236
Br: 0.236 0.764 0.236
Br: 0.236 0.764 0.764
Br: 0.764 0.236 0.236

***

# MnNiSnRh

An optimized crystal structure of MnNiSnRh (GGA-PBE, the Materials Project database).

Properties
Calculated formation energy in eV/atom: -0.262
Space group: F-43m (216)
Calculated density in g/cm³: 9.35

abc: 4.382 4.382 4.382
angles: 60.00 60.00 60.00
Element x y z (fractional)
Mn: 0.000 0.000 0.000
Ni: 0.250 0.250 0.250
Sn: 0.500 0.500 0.500
Rh: 0.750 0.750 0.750

***

# KSm2Sb3Se8

An optimized crystal structure of KSm2Sb3Se8 (GGA-PBE, the Materials Project database).

Properties
Calculated formation energy in eV/atom: -1.249
Space group: Pnma (62)
Calculated density in g/cm³: 5.61

abc: 4.140 17.135 22.319
angles: 90.00 90.00 90.00
Element x y z (fractional)
K: 0.750 0.298 0.244
K: 0.250 0.702 0.756
K: 0.750 0.798 0.256
K: 0.250 0.202 0.744
Sm: 0.750 0.963 0.090
Sm: 0.750 0.463 0.410
Sm: 0.250 0.291 0.545
Sm: 0.250 0.537 0.590
Sm: 0.250 0.791 0.955
Sm: 0.750 0.709 0.455
Sm: 0.750 0.209 0.045
Sm: 0.250 0.037 0.910
Sb: 0.250 0.423 0.087
Sb: 0.250 0.036 0.242
Sb: 0.250 0.355 0.901
Sb: 0.750 0.645 0.099
Sb: 0.250 0.855 0.599
Sb: 0.250 0.536 0.258
Sb: 0.750 0.464 0.742
Sb: 0.750 0.577 0.913
Sb: 0.750 0.145 0.401
Sb: 0.750 0.077 0.587
Sb: 0.750 0.964 0.758
Sb: 0.250 0.923 0.413
Se: 0.250 0.897 0.824
Se: 0.250 0.212 0.947
Se: 0.250 0.618 0.997
Se: 0.250 0.679 0.176
Se: 0.250 0.118 0.503
Se: 0.750 0.288 0.447
Se: 0.250 0.528 0.830
Se: 0.750 0.222 0.626
Se: 0.750 0.882 0.497
Se: 0.750 0.321 0.824
Se: 0.750 0.603 0.324
Se: 0.750 0.926 0.958
Se: 0.250 0.407 0.331
Se: 0.750 0.821 0.676
Se: 0.250 0.028 0.670
Se: 0.750 0.103 0.176
Se: 0.250 0.907 0.169
Se: 0.250 0.778 0.374
Se: 0.750 0.972 0.330
Se: 0.250 0.074 0.042
Se: 0.750 0.593 0.669
Se: 0.250 0.712 0.553
Se: 0.250 0.179 0.324
Se: 0.250 0.397 0.676
Se: 0.750 0.722 0.874
Se: 0.750 0.382 0.003
Se: 0.750 0.093 0.831
Se: 0.750 0.472 0.170
Se: 0.250 0.278 0.126
Se: 0.250 0.574 0.458
Se: 0.750 0.426 0.542
Se: 0.750 0.788 0.053

***

# Li3FeS3

An optimized crystal structure of Li3FeS3 (GGA-PBE, the Materials Project database).

Properties
Calculated formation energy in eV/atom: -1.132
Excess energy over the best structure of this formula in the dataset in eV/atom: 0.0000
Space group: P2_1/c (14)
Calculated density in g/cm³: 2.42

abc: 6.300 6.576 12.953
angles: 62.09 90.00 90.00
Element x y z (fractional)
Li: 0.499 0.960 0.386
Li: 0.005 0.904 0.394
Li: 0.505 0.470 0.788
Li: 0.005 0.530 0.712
Li: 0.505 0.096 0.106
Li: 0.999 0.040 0.114
Li: 0.001 0.960 0.886
Li: 0.495 0.904 0.894
Li: 0.995 0.470 0.288
Li: 0.495 0.530 0.212
Li: 0.995 0.096 0.606
Li: 0.501 0.040 0.614
Fe: 0.865 0.496 0.925
Fe: 0.365 0.504 0.575
Fe: 0.635 0.496 0.425
Fe: 0.135 0.504 0.075
S: 0.247 0.190 0.230
S: 0.218 0.495 0.910
S: 0.241 0.826 0.566
S: 0.741 0.174 0.934
S: 0.747 0.810 0.270
S: 0.718 0.505 0.590
S: 0.282 0.495 0.410
S: 0.253 0.190 0.730
S: 0.259 0.826 0.066
S: 0.759 0.174 0.434
S: 0.782 0.505 0.090
S: 0.753 0.810 0.770

***

# SnN2F6

An optimized crystal structure of SnN2F6 (GGA-PBE, the Materials Project database).

Properties
Calculated formation energy in eV/atom: -0.373
Excess energy over the best structure of this formula in the dataset in eV/atom: 0.0000
Space group: P-3m1 (164)
Calculated density in g/cm³: 3.35

abc: 5.107 5.404 5.404
angles: 120.00 90.00 90.00
Element x y z (fractional)
Sn: 0.000 0.000 0.000
N: 0.310 0.667 0.333
N: 0.690 0.333 0.667
F: 0.239 0.172 0.828
F: 0.239 0.172 0.344
F: 0.239 0.656 0.828
F: 0.761 0.828 0.172
F: 0.761 0.828 0.656
F: 0.761 0.344 0.172

***

# Pr6Ni20P13

An optimized crystal structure of Pr6Ni20P13 (GGA-PBE, the Materials Project database).

Properties
Calculated formation energy in eV/atom: -0.853
Space group: P-6 (174)
Calculated density in g/cm³: 7.28

abc: 12.883 12.883 3.843
angles: 90.00 90.00 120.00
Element x y z (fractional)
Pr: 0.186 0.467 0.000
Pr: 0.533 0.719 0.000
Pr: 0.281 0.814 0.000
Pr: 0.719 0.186 0.500
Pr: 0.814 0.533 0.500
Pr: 0.467 0.281 0.500
Ni: 0.089 0.191 0.000
Ni: 0.809 0.897 0.000
Ni: 0.103 0.911 0.000
Ni: 0.333 0.667 0.500
Ni: 0.919 0.072 0.500
Ni: 0.928 0.847 0.500
Ni: 0.153 0.081 0.500
Ni: 0.667 0.333 0.000
Ni: 0.414 0.437 0.000
Ni: 0.563 0.977 0.000
Ni: 0.023 0.586 0.000
Ni: 0.243 0.312 0.500
Ni: 0.688 0.931 0.500
Ni: 0.069 0.757 0.500
Ni: 0.434 0.024 0.500
Ni: 0.976 0.409 0.500
Ni: 0.591 0.566 0.500
Ni: 0.924 0.240 0.000
Ni: 0.760 0.685 0.000
Ni: 0.315 0.076 0.000
P: 0.388 0.519 0.500
P: 0.481 0.869 0.500
P: 0.131 0.612 0.500
P: 0.042 0.273 0.500
P: 0.727 0.769 0.500
P: 0.231 0.958 0.500
P: 0.518 0.132 0.000
P: 0.868 0.386 0.000
P: 0.614 0.482 0.000
P: 0.766 0.044 0.000
P: 0.956 0.723 0.000
P: 0.277 0.234 0.000
P: 0.000 0.000 0.000

***

Which value of calculated formation energy does entry 6 give? -0.853 eV/atom

***

The highest calculated formation energy belongs to which entry? MnNiSnRh

***

Among the records above, which one has the highest calculated density? MnNiSnRh